Entry 1:
DFT (PBE with a Hubbard U) results for a relaxed MgV2O4 crystal.

Properties
total moment	4.0	μB per formula unit
density	3.7	g cm⁻³
DFT formation energy	-239.1	kJ/mol of atoms
E	-7.25	eV per atom
offset from the most stable computed form	1.59	eV/f.u.

Unit cell a=3.058 b=3.063 c=10.550 alpha=90.51 beta=89.70 gamma=120.05
Element x y z (fractional)
O 0.663 0.327 0.421
O 0.334 0.668 0.630
O 0.661 0.337 0.083
V 0.995 0.002 0.007
V 0.997 0.996 0.497
Mg 0.669 0.335 0.752
O 0.334 0.667 0.874


Entry 2:
DFT (PBE with a Hubbard U) results for a relaxed Li3V2P3O12 crystal.

Properties
total moment	4.0	μB per formula unit
density	2.6	g cm⁻³
DFT formation energy	-254.3	kJ/mol of atoms
E	-7.03	eV per atom
offset from the most stable computed form	1.85	eV/f.u.

Unit cell a=9.175 b=9.175 c=16.557 alpha=65.17 beta=65.17 gamma=58.06
Element x y z (fractional)
O 0.612 0.969 0.555
Li 0.766 0.469 0.600
O 0.332 0.483 0.622
O 0.485 0.328 0.122
P 0.972 0.037 0.376
O 0.998 0.810 0.124
Li 0.469 0.766 0.101
O 0.085 0.400 0.964
V 0.155 0.195 0.914
V 0.196 0.154 0.413
O 0.127 0.793 0.852
O 0.220 0.548 0.411
O 0.331 0.192 0.281
O 0.808 0.669 0.719
O 0.764 0.478 0.265
P 0.403 0.339 0.221
O 0.716 0.949 0.858
O 0.286 0.051 0.642
O 0.481 0.764 0.765
V 0.292 0.789 0.718
Li 0.496 0.000 0.754
Li 0.376 0.624 0.500
P 0.342 0.402 0.721
P 0.963 0.028 0.624
O 0.190 0.002 0.876
V 0.805 0.845 0.086
O 0.051 0.284 0.142
O 0.780 0.450 0.089
Li 0.234 0.531 0.899
O 0.868 0.053 0.198
O 0.794 0.125 0.352
O 0.947 0.132 0.802
O 0.452 0.780 0.589
O 0.023 0.106 0.033
V 0.790 0.290 0.218
Li 0.756 0.909 0.304
O 0.400 0.085 0.465
O 0.391 0.031 0.942
P 0.028 0.561 0.439
O 0.550 0.220 0.911
O 0.465 0.688 0.232
Li 0.091 0.244 0.696
O 0.600 0.915 0.036
O 0.672 0.515 0.878
O 0.003 0.187 0.376
V 0.211 0.708 0.282
O 0.536 0.310 0.268
O 0.056 0.866 0.698
O 0.672 0.804 0.219
Li 0.625 0.375 0.000
Li 0.000 0.504 0.246
O 0.875 0.206 0.648
P 0.661 0.597 0.779
V 0.710 0.210 0.782
O 0.969 0.609 0.058
O 0.312 0.535 0.768
O 0.813 0.997 0.624
P 0.972 0.437 0.061
P 0.028 0.961 0.124
O 0.517 0.668 0.378
O 0.522 0.236 0.735
O 0.980 0.891 0.467
O 0.949 0.714 0.358
O 0.196 0.328 0.781
Li 0.244 0.093 0.199
P 0.439 0.972 0.561
Li 0.531 0.234 0.400
O 0.134 0.944 0.302
P 0.598 0.658 0.279
O 0.690 0.464 0.732
O 0.031 0.388 0.445
O 0.894 0.977 0.967
V 0.846 0.804 0.587
P 0.039 0.972 0.876
O 0.109 0.020 0.533
O 0.915 0.600 0.535
Li 0.907 0.756 0.801
P 0.563 0.028 0.939
O 0.207 0.873 0.148
O 0.236 0.519 0.235


Entry 3:
DFT (PBE with a Hubbard U) results for a relaxed ZnCrGe2O6 crystal.

Properties
total moment	0.0	μB per formula unit
density	4.8	g cm⁻³
DFT formation energy	-191.6	kJ/mol of atoms
E	-6.36	eV per atom
offset from the most stable computed form	0.20	eV/f.u.

Unit cell a=5.477 b=10.044 c=9.228 alpha=89.95 beta=89.98 gamma=76.01
Element x y z (fractional)
O 0.667 0.878 0.917
Zn 0.750 0.500 0.251
O 0.604 0.387 0.755
Cr 0.250 0.500 0.404
O 0.028 0.860 0.440
Ge 0.757 0.197 0.412
O 0.667 0.378 0.417
Ge 0.243 0.803 0.588
O 0.472 0.140 0.440
Zn 0.750 0.000 0.751
Cr 0.250 0.000 0.904
O 0.896 0.113 0.255
O 0.972 0.140 0.560
Ge 0.757 0.697 0.912
O 0.333 0.622 0.583
O 0.896 0.613 0.755
Ge 0.257 0.197 0.588
O 0.167 0.878 0.083
O 0.396 0.113 0.745
O 0.104 0.387 0.245
O 0.028 0.360 0.940
Zn 0.250 0.000 0.249
Zn 0.250 0.500 0.749
Ge 0.243 0.303 0.088
Cr 0.750 0.000 0.096
Cr 0.750 0.500 0.596
O 0.833 0.122 0.917
O 0.104 0.887 0.745
Ge 0.743 0.303 0.912
O 0.833 0.622 0.417
O 0.396 0.613 0.245
O 0.333 0.122 0.083
O 0.167 0.378 0.583
O 0.604 0.887 0.255
O 0.972 0.640 0.060
O 0.528 0.360 0.060
Ge 0.743 0.803 0.412
O 0.528 0.860 0.560
Ge 0.257 0.697 0.088
O 0.472 0.640 0.940


Entry 4:
DFT (PBE with a Hubbard U) results for a relaxed Ba2La2MnW2O12 crystal.

Properties
total moment	0.0	μB per formula unit
density	7.2	g cm⁻³
DFT formation energy	-283.4	kJ/mol of atoms
E	-7.64	eV per atom

Unit cell a=5.800 b=10.045 c=9.839 alpha=99.80 beta=72.86 gamma=90.00
Element x y z (fractional)
O 0.830 0.390 0.885
Ba 0.702 0.433 0.596
W 0.628 0.791 0.745
La 0.940 0.353 0.121
O 0.443 0.337 0.115
O 0.574 0.809 0.352
O 0.715 0.610 0.115
Ba 0.298 0.567 0.404
O 0.074 0.809 0.352
O 0.926 0.191 0.648
La 0.440 0.853 0.121
O 0.943 0.837 0.115
Mn 0.000 0.000 0.000
O 0.926 0.691 0.648
O 0.574 0.309 0.352
La 0.560 0.147 0.879
O 0.176 0.441 0.648
W 0.128 0.291 0.745
O 0.057 0.163 0.885
Ba 0.798 0.067 0.404
O 0.330 0.890 0.885
O 0.785 0.890 0.885
O 0.324 0.059 0.352
O 0.074 0.309 0.352
Mn 0.500 0.500 0.000
Ba 0.202 0.933 0.596
O 0.285 0.390 0.885
O 0.824 0.559 0.352
O 0.557 0.663 0.885
O 0.426 0.691 0.648
W 0.872 0.709 0.255
O 0.670 0.110 0.115
O 0.676 0.941 0.648
O 0.170 0.610 0.115
O 0.215 0.110 0.115
La 0.060 0.647 0.879
W 0.372 0.209 0.255
O 0.426 0.191 0.648